[1]
Li5Mn3O8, relaxed, DFT GGA+U; calculated total energy = -6.271 eV per atom; relative energy among the computed polymorphs = 12 meV/atom; energy of formation from the pure elements = -2.1384 eV/atom
1.0
-4.578 1.742 1.536
-2.548 -4.579 -2.403
-2.479 -4.083 3.494
O Li Mn
8 5 3
direct
0.785 0.132 0.758
0.238 0.358 0.784
0.785 0.609 0.759
0.229 0.863 0.774
0.215 0.868 0.241
0.762 0.642 0.216
0.215 0.391 0.242
0.771 0.137 0.226
0.500 0.238 0.500
0.000 0.000 0.500
0.499 0.246 0.009
0.501 0.754 0.991
0.500 0.762 0.500
0.000 0.000 0.000
0.000 0.500 0.000
0.000 0.500 0.500



[2]
CoP3H16N4O11, relaxed, DFT GGA+U; calculated total energy = -5.786 eV per atom; relative energy among the computed polymorphs = 0 meV/atom; energy of formation from the pure elements = -1.3225 eV/atom
1.0
-11.382 7.153 4.817
0.780 -3.212 6.612
8.138 6.533 9.530
O H N Co P
44 64 16 4 12
direct
0.615 0.377 0.946
0.624 0.316 0.363
0.647 0.137 0.135
0.876 0.316 0.863
0.275 0.073 0.677
0.124 0.684 0.137
0.716 0.330 0.513
0.885 0.377 0.446
0.326 0.770 0.207
0.376 0.684 0.637
0.045 0.236 0.136
0.674 0.230 0.793
0.877 0.878 0.429
0.671 0.522 0.070
0.260 0.971 0.527
0.407 0.944 0.437
0.593 0.056 0.563
0.784 0.330 0.013
0.240 0.971 0.027
0.829 0.522 0.570
0.385 0.623 0.054
0.377 0.122 0.071
0.853 0.137 0.635
0.147 0.863 0.365
0.115 0.623 0.554
0.174 0.770 0.707
0.740 0.029 0.473
0.171 0.478 0.430
0.284 0.670 0.487
0.545 0.764 0.364
0.123 0.122 0.571
0.775 0.927 0.823
0.455 0.236 0.636
0.760 0.029 0.973
0.623 0.878 0.929
0.093 0.944 0.937
0.225 0.073 0.177
0.955 0.764 0.864
0.329 0.478 0.930
0.826 0.230 0.293
0.907 0.056 0.063
0.353 0.863 0.865
0.725 0.927 0.323
0.216 0.670 0.987
0.035 0.716 0.239
0.683 0.077 0.205
0.500 0.824 0.102
0.001 0.168 0.109
0.638 0.514 0.596
0.025 0.275 0.661
0.107 0.176 0.141
0.228 0.288 0.832
0.893 0.824 0.859
0.433 0.380 0.839
0.971 0.741 0.731
0.728 0.712 0.668
0.642 0.730 0.985
0.500 0.176 0.898
0.858 0.730 0.485
0.272 0.288 0.332
0.183 0.923 0.295
0.939 0.851 0.213
0.465 0.716 0.739
0.734 0.715 0.784
0.607 0.824 0.359
0.000 0.176 0.398
0.475 0.275 0.161
0.862 0.514 0.096
0.142 0.270 0.515
0.817 0.077 0.705
0.000 0.824 0.602
0.358 0.270 0.015
0.074 0.287 0.917
0.529 0.741 0.231
0.393 0.176 0.641
0.471 0.259 0.769
0.477 0.510 0.385
0.439 0.149 0.287
0.426 0.287 0.417
0.724 0.514 0.273
0.266 0.285 0.216
0.138 0.486 0.904
0.362 0.486 0.404
0.523 0.490 0.615
0.224 0.486 0.227
0.023 0.510 0.885
0.317 0.923 0.795
0.061 0.149 0.787
0.776 0.514 0.773
0.234 0.285 0.716
0.525 0.725 0.839
0.933 0.620 0.661
0.574 0.713 0.583
0.975 0.725 0.339
0.499 0.168 0.609
0.926 0.713 0.083
0.067 0.380 0.339
0.999 0.832 0.891
0.766 0.715 0.284
0.965 0.284 0.761
0.535 0.284 0.261
0.501 0.832 0.391
0.561 0.851 0.713
0.977 0.490 0.115
0.567 0.620 0.161
0.772 0.712 0.168
0.029 0.259 0.269
0.276 0.486 0.727
0.223 0.378 0.751
0.470 0.281 0.231
0.418 0.442 0.374
0.488 0.303 0.827
0.030 0.281 0.731
0.082 0.442 0.874
0.988 0.697 0.673
0.582 0.558 0.626
0.918 0.558 0.126
0.277 0.378 0.251
0.530 0.719 0.769
0.723 0.622 0.749
0.512 0.697 0.173
0.777 0.622 0.249
0.012 0.303 0.327
0.970 0.719 0.269
0.896 0.467 0.288
0.396 0.533 0.212
0.604 0.467 0.788
0.104 0.533 0.712
0.709 0.021 0.872
0.659 0.184 0.474
0.291 0.979 0.128
0.341 0.816 0.526
0.209 0.979 0.628
0.159 0.816 0.026
0.841 0.184 0.974
0.175 0.650 0.460
0.825 0.350 0.540
0.325 0.650 0.960
0.791 0.021 0.372
0.675 0.350 0.040



[3]
V4O3F9, relaxed, DFT GGA+U; calculated total energy = -6.416 eV per atom; relative energy among the computed polymorphs = 1 meV/atom; energy of formation from the pure elements = -2.9536 eV/atom
1.0
-2.782 3.846 -2.256
-5.387 -0.169 0.261
-1.677 10.291 13.869
F V O
18 8 6
direct
0.050 0.030 0.289
0.288 0.674 0.936
0.496 0.082 0.332
0.226 0.815 0.566
0.525 0.546 0.790
0.467 0.466 0.212
0.720 0.313 0.061
0.985 0.585 0.838
0.544 0.941 0.188
0.976 0.566 0.318
0.736 0.331 0.581
0.965 0.950 0.710
0.211 0.199 0.962
0.765 0.163 0.913
0.713 0.711 0.462
0.286 0.288 0.537
0.508 0.915 0.662
0.247 0.846 0.086
0.994 0.971 0.002
0.870 0.905 0.380
0.233 0.269 0.244
0.110 0.154 0.628
0.643 0.622 0.125
0.478 0.517 0.492
0.746 0.747 0.750
0.380 0.340 0.871
0.016 0.411 0.172
0.251 0.673 0.421
0.765 0.186 0.434
0.017 0.422 0.685
0.473 0.073 0.814
0.816 0.787 0.041



[4]
AlV2O4, relaxed, DFT GGA+U; calculated total energy = -7.300 eV per atom; relative energy among the computed polymorphs = 545 meV/atom; energy of formation from the pure elements = -2.2201 eV/atom
1.0
5.336 3.808 0.000
-5.336 3.808 0.000
0.000 3.796 3.839
O V Al
8 4 2
direct
0.091 0.285 0.277
0.868 0.564 0.345
0.564 0.868 0.845
0.132 0.436 0.655
0.909 0.715 0.723
0.285 0.091 0.777
0.436 0.132 0.155
0.715 0.909 0.223
0.500 0.500 0.000
0.500 0.000 0.500
0.000 0.500 0.000
0.500 0.500 0.500
0.122 0.878 0.250
0.878 0.122 0.750



Question: Look up the relative energy among the computed polymorphs of the first one.
Answer: 12 meV/atom



Repeat the first record exactly.
Li5Mn3O8, relaxed, DFT GGA+U; calculated total energy = -6.271 eV per atom; relative energy among the computed polymorphs = 12 meV/atom; energy of formation from the pure elements = -2.1384 eV/atom
1.0
-4.578 1.742 1.536
-2.548 -4.579 -2.403
-2.479 -4.083 3.494
O Li Mn
8 5 3
direct
0.785 0.132 0.758
0.238 0.358 0.784
0.785 0.609 0.759
0.229 0.863 0.774
0.215 0.868 0.241
0.762 0.642 0.216
0.215 0.391 0.242
0.771 0.137 0.226
0.500 0.238 0.500
0.000 0.000 0.500
0.499 0.246 0.009
0.501 0.754 0.991
0.500 0.762 0.500
0.000 0.000 0.000
0.000 0.500 0.000
0.000 0.500 0.500



What did the first record say?
Li5Mn3O8, relaxed, DFT GGA+U; calculated total energy = -6.271 eV per atom; relative energy among the computed polymorphs = 12 meV/atom; energy of formation from the pure elements = -2.1384 eV/atom
1.0
-4.578 1.742 1.536
-2.548 -4.579 -2.403
-2.479 -4.083 3.494
O Li Mn
8 5 3
direct
0.785 0.132 0.758
0.238 0.358 0.784
0.785 0.609 0.759
0.229 0.863 0.774
0.215 0.868 0.241
0.762 0.642 0.216
0.215 0.391 0.242
0.771 0.137 0.226
0.500 0.238 0.500
0.000 0.000 0.500
0.499 0.246 0.009
0.501 0.754 0.991
0.500 0.762 0.500
0.000 0.000 0.000
0.000 0.500 0.000
0.000 0.500 0.500